VASP calculation (meta-GGA r2SCAN) on a relaxed SmCo9Si4 crystal.

a b c (Å): 7.6724 7.6724 11.5556
angles (deg): 90.00 90.00 90.00
Last column: nearest neighbours and their distance in Å.
Space group I4/mcm (No. 140)
Asymmetric unit:
Sm 0.0000 0.0000 0.2500 x4  16 Co 3.12-3.30, 8 Si 3.20
Co 0.0000 0.5000 0.0000 x4  4 Si 2.32, 8 Co 2.39-2.51
Co 0.0680 0.1963 0.0000 x16  5 Co 2.25-2.52, 2 Si 2.50
Co 0.1286 0.3714 0.1802 x16  4 Si 2.30-2.38, 5 Co 2.51-2.55
Si 0.1675 0.3325 0.3756 x16  9 Co 2.30-2.53

Summary:
crystal system	tetragonal
spin magnetization	0.72	μB/atom
E	-13.548	eV per atom
calculated formation energy	-5.7	eV per formula unit